Entry 1:
The following is a GGA-PBE calculation of a relaxed Na6Ca2Hf2Si3S3O24 crystal, from the Materials Project.

Structure (CIF):
```
data_Na6Ca2Hf2Si3S3O24
_chemical_formula_sum 'Na18 Ca6 Hf6 Si9 S9 O72'
_cell_length_a 9.2900
_cell_length_b 9.3141
_cell_length_c 23.0179
_cell_angle_alpha 90.11
_cell_angle_beta 90.67
_cell_angle_gamma 119.70
_space_group_name_H-M_alt 'P 1'
_space_group_IT_number 1
loop_
_space_group_symop_operation_xyz
'x,y,z'
loop_
_atom_site_label
_atom_site_type_symbol
_atom_site_fract_x
_atom_site_fract_y
_atom_site_fract_z
_atom_site_occupancy
Na1 Na 0.0000 0.0000 0.0000 1
Na2 Na 0.0005 0.3856 0.4857 1
Na3 Na 0.0018 0.3398 0.8020 1
Na4 Na 0.0134 0.6969 0.0758 1
Na5 Na 0.0139 0.7065 0.5603 1
Na6 Na 0.2997 0.0241 0.1481 1
Na7 Na 0.3063 0.3388 0.7205 1
Na8 Na 0.3057 0.6585 0.6360 1
Na9 Na 0.3097 0.3557 0.2271 1
Na10 Na 0.3186 0.9722 0.4716 1
Na11 Na 0.3200 0.7352 0.9804 1
Na12 Na 0.3690 0.0328 0.8105 1
Na13 Na 0.3853 0.7316 0.3101 1
Na14 Na 0.6333 0.0073 0.8996 1
Na15 Na 0.6421 0.9963 0.3900 1
Na16 Na 0.6495 0.6811 0.1655 1
Na17 Na 0.6518 0.3636 0.6489 1
Na18 Na 0.9794 0.0298 0.3086 1
Ca1 Ca 0.0022 0.6955 0.9174 1
Ca2 Ca 0.3191 0.3543 0.5848 1
Ca3 Ca 0.3201 0.3513 0.0876 1
Ca4 Ca 0.6631 0.0182 0.7501 1
Ca5 Ca 0.6643 0.0315 0.2515 1
Ca6 Ca 0.9982 0.6957 0.4152 1
Hf1 Hf 0.0020 0.7131 0.2181 1
Hf2 Hf 0.0182 0.6936 0.7118 1
Hf3 Hf 0.3397 0.3592 0.8830 1
Hf4 Hf 0.3541 0.3827 0.3781 1
Hf5 Hf 0.6487 0.0216 0.0562 1
Hf6 Hf 0.6556 0.0192 0.5531 1
Si1 Si 0.2986 0.0038 0.3234 1
Si2 Si 0.3007 0.6844 0.8220 1
Si3 Si 0.3386 0.6639 0.4877 1
Si4 Si 0.3423 0.0639 0.9845 1
Si5 Si 0.3558 0.7251 0.1548 1
Si6 Si 0.3670 0.0258 0.6558 1
Si7 Si 0.6998 0.6908 0.3166 1
Si8 Si 0.9598 0.0200 0.1526 1
Si9 Si 0.9598 0.3252 0.6553 1
S1 S 0.0080 0.9964 0.8201 1
S2 S 0.0097 0.4024 0.3205 1
S3 S 0.0254 0.0651 0.4838 1
S4 S 0.0328 0.3484 0.9799 1
S5 S 0.6215 0.6587 0.9854 1
S6 S 0.6252 0.3491 0.4873 1
S7 S 0.6772 0.7326 0.6507 1
S8 S 0.6776 0.3309 0.1505 1
S9 S 0.6944 0.4008 0.8172 1
O1 O 0.0013 0.4865 0.9726 1
O2 O 0.0219 0.9017 0.7700 1
O3 O 0.0269 0.5149 0.2713 1
O4 O 0.1041 0.1672 0.4313 1
O5 O 0.1279 0.3351 0.9278 1
O6 O 0.1299 0.1424 0.5352 1
O7 O 0.1354 0.3798 0.0316 1
O8 O 0.1526 0.1591 0.1481 1
O9 O 0.1527 0.3791 0.6506 1
O10 O 0.1663 0.8989 0.2657 1
O11 O 0.1695 0.6624 0.7645 1
O12 O 0.1726 0.1606 0.8217 1
O13 O 0.1731 0.3996 0.3218 1
O14 O 0.1728 0.6843 0.4852 1
O15 O 0.1737 0.7180 0.1566 1
O16 O 0.1763 0.8791 0.9813 1
O17 O 0.1820 0.8482 0.6563 1
O18 O 0.2140 0.7018 0.8794 1
O19 O 0.2234 0.8956 0.3806 1
O20 O 0.2873 0.1774 0.3288 1
O21 O 0.2986 0.5024 0.8244 1
O22 O 0.3183 0.1482 0.0407 1
O23 O 0.3226 0.5665 0.5465 1
O24 O 0.3485 0.5545 0.4308 1
O25 O 0.3552 0.1809 0.9256 1
O26 O 0.3570 0.5556 0.1444 1
O27 O 0.3592 0.1921 0.6464 1
O28 O 0.4564 0.0400 0.7170 1
O29 O 0.4559 0.8573 0.0965 1
O30 O 0.4610 0.8113 0.2119 1
O31 O 0.4686 0.9929 0.6010 1
O32 O 0.4802 0.8477 0.8173 1
O33 O 0.4808 0.0303 0.3149 1
O34 O 0.5072 0.8543 0.4904 1
O35 O 0.5078 0.5226 0.3197 1
O36 O 0.5109 0.5628 0.9333 1
O37 O 0.5115 0.0413 0.9868 1
O38 O 0.5141 0.3314 0.4363 1
O39 O 0.5209 0.3788 0.8217 1
O40 O 0.5361 0.3585 0.1418 1
O41 O 0.5389 0.5643 0.6421 1
O42 O 0.5521 0.5706 0.0379 1
O43 O 0.5560 0.3701 0.5410 1
O44 O 0.6239 0.8231 0.9851 1
O45 O 0.6262 0.1853 0.4895 1
O46 O 0.6468 0.8017 0.7031 1
O47 O 0.6519 0.2346 0.2018 1
O48 O 0.6756 0.8513 0.3146 1
O49 O 0.6768 0.2341 0.8154 1
O50 O 0.6886 0.2348 0.0977 1
O51 O 0.6954 0.8402 0.5993 1
O52 O 0.7700 0.4975 0.7637 1
O53 O 0.7902 0.6677 0.2568 1
O54 O 0.7908 0.4871 0.8689 1
O55 O 0.7922 0.6921 0.9765 1
O56 O 0.7964 0.4814 0.4804 1
O57 O 0.8027 0.7019 0.3728 1
O58 O 0.8345 0.4918 0.1518 1
O59 O 0.8340 0.7253 0.6566 1
O60 O 0.8346 0.2201 0.5986 1
O61 O 0.8391 0.0040 0.0923 1
O62 O 0.8617 0.0629 0.4909 1
O63 O 0.8753 0.1865 0.9820 1
O64 O 0.8756 0.0364 0.8141 1
O65 O 0.8763 0.2337 0.3122 1
O66 O 0.8792 0.0380 0.2104 1
O67 O 0.8822 0.2356 0.7154 1
O68 O 0.9532 0.5074 0.6569 1
O69 O 0.9541 0.8340 0.1529 1
O70 O 0.9894 0.9093 0.8748 1
O71 O 0.9918 0.4668 0.3762 1
O72 O 0.9993 0.8967 0.4797 1
```

Output
- Formation energy from the elements: -2.736 eV per atom

=====

Entry 2:
The following is a GGA-PBE calculation of a relaxed Na6CaHf7Si6S6O48 crystal, from the Materials Project.

Structure (CIF):
```
data_Na6CaHf7Si6S6O48
_chemical_formula_sum 'Na18 Ca3 Hf21 Si18 S18 O144'
_cell_length_a 8.9965
_cell_length_b 15.6464
_cell_length_c 23.4306
_cell_angle_alpha 90.01
_cell_angle_beta 90.01
_cell_angle_gamma 90.01
_space_group_name_H-M_alt 'P 1'
_space_group_IT_number 1
loop_
_space_group_symop_operation_xyz
'x,y,z'
loop_
_atom_site_label
_atom_site_type_symbol
_atom_site_fract_x
_atom_site_fract_y
_atom_site_fract_z
_atom_site_occupancy
Na1 Na 0.0000 0.0000 0.0000 1
Na2 Na 0.0000 0.6648 0.6670 1
Na3 Na 0.0050 0.6704 0.1723 1
Na4 Na 0.0092 0.9960 0.4994 1
Na5 Na 0.1380 0.4896 0.2552 1
Na6 Na 0.1706 0.1784 0.2524 1
Na7 Na 0.4898 0.5041 0.5002 1
Na8 Na 0.4931 0.8238 0.3273 1
Na9 Na 0.4947 0.1562 0.6742 1
Na10 Na 0.4946 0.4909 0.9928 1
Na11 Na 0.4974 0.8268 0.8312 1
Na12 Na 0.5009 0.1630 0.1698 1
Na13 Na 0.6294 0.9857 0.2510 1
Na14 Na 0.6708 0.6869 0.2557 1
Na15 Na 0.8005 0.1798 0.7541 1
Na16 Na 0.8418 0.4890 0.7547 1
Na17 Na 0.9927 0.3269 0.8385 1
Na18 Na 0.9986 0.3208 0.3306 1
Ca1 Ca 0.4885 0.8267 0.1886 1
Ca2 Ca 0.9910 0.3225 0.1863 1
Ca3 Ca 0.9963 0.3266 0.6866 1
Hf1 Hf 0.0002 0.6550 0.0169 1
Hf2 Hf 0.0003 0.6548 0.5188 1
Hf3 Hf 0.0036 0.3262 0.4775 1
Hf4 Hf 0.4818 0.1513 0.5211 1
Hf5 Hf 0.4831 0.4999 0.3591 1
Hf6 Hf 0.4842 0.8283 0.9790 1
Hf7 Hf 0.4867 0.1638 0.3123 1
Hf8 Hf 0.4866 0.4904 0.1516 1
Hf9 Hf 0.4886 0.8186 0.4854 1
Hf10 Hf 0.4914 0.1596 0.0131 1
Hf11 Hf 0.4912 0.8272 0.6883 1
Hf12 Hf 0.4994 0.1603 0.8189 1
Hf13 Hf 0.5041 0.4987 0.6523 1
Hf14 Hf 0.5077 0.4949 0.8592 1
Hf15 Hf 0.9870 0.9955 0.8582 1
Hf16 Hf 0.9935 0.9924 0.6486 1
Hf17 Hf 0.9932 0.9933 0.1557 1
Hf18 Hf 0.9959 0.3244 0.9755 1
Hf19 Hf 0.9958 0.6637 0.3185 1
Hf20 Hf 0.9966 0.6569 0.8181 1
Hf21 Hf 0.9993 0.9967 0.3523 1
Si1 Si 0.1375 0.5144 0.4170 1
Si2 Si 0.2004 0.1559 0.4178 1
Si3 Si 0.2860 0.9929 0.2535 1
Si4 Si 0.2875 0.6593 0.9173 1
Si5 Si 0.3448 0.6373 0.2526 1
Si6 Si 0.3448 0.6784 0.5875 1
Si7 Si 0.3476 0.0149 0.9168 1
Si8 Si 0.3486 0.9693 0.5851 1
Si9 Si 0.3526 0.3061 0.9170 1
Si10 Si 0.3544 0.3501 0.2544 1
Si11 Si 0.6329 0.3464 0.7521 1
Si12 Si 0.6413 0.6420 0.7538 1
Si13 Si 0.7022 0.9918 0.7518 1
Si14 Si 0.7039 0.6616 0.4191 1
Si15 Si 0.7840 0.1588 0.9185 1
Si16 Si 0.8465 0.1392 0.2538 1
Si17 Si 0.8515 0.5142 0.9188 1
Si18 Si 0.8570 0.8462 0.2543 1
S1 S 0.1374 0.8492 0.7523 1
S2 S 0.1400 0.8057 0.4201 1
S3 S 0.1416 0.1336 0.7523 1
S4 S 0.1427 0.4753 0.0846 1
S5 S 0.1452 0.1771 0.0839 1
S6 S 0.1950 0.8266 0.0828 1
S7 S 0.2090 0.4961 0.7535 1
S8 S 0.2923 0.3262 0.5830 1
S9 S 0.6391 0.0142 0.4190 1
S10 S 0.6405 0.3035 0.4202 1
S11 S 0.6443 0.9756 0.0836 1
S12 S 0.6459 0.6778 0.0841 1
S13 S 0.6965 0.3266 0.0836 1
S14 S 0.7803 0.4948 0.2532 1
S15 S 0.7846 0.8266 0.5855 1
S16 S 0.8465 0.1788 0.5839 1
S17 S 0.8472 0.4736 0.5840 1
S18 S 0.8498 0.8036 0.9194 1
O1 O 0.0594 0.4204 0.4283 1
O2 O 0.0673 0.2174 0.7477 1
O3 O 0.0675 0.7635 0.7571 1
O4 O 0.0693 0.5567 0.3591 1
O5 O 0.0697 0.8902 0.4146 1
O6 O 0.0733 0.0908 0.0873 1
O7 O 0.0745 0.8913 0.7002 1
O8 O 0.0765 0.0908 0.8031 1
O9 O 0.0770 0.7633 0.4709 1
O10 O 0.0789 0.2236 0.0349 1
O11 O 0.0786 0.5635 0.0763 1
O12 O 0.0817 0.4432 0.1383 1
O13 O 0.0950 0.0719 0.4160 1
O14 O 0.0955 0.7515 0.0731 1
O15 O 0.0966 0.2418 0.4289 1
O16 O 0.1034 0.9056 0.0861 1
O17 O 0.1062 0.4228 0.7477 1
O18 O 0.1080 0.5740 0.4730 1
O19 O 0.1088 0.0820 0.6998 1
O20 O 0.1096 0.4209 0.0352 1
O21 O 0.1104 0.5750 0.7576 1
O22 O 0.1097 0.9007 0.8035 1
O23 O 0.1143 0.7529 0.3680 1
O24 O 0.1241 0.2244 0.1375 1
O25 O 0.1629 0.6368 0.2576 1
O26 O 0.1631 0.6720 0.5788 1
O27 O 0.1678 0.9834 0.5944 1
O28 O 0.1695 0.9977 0.9085 1
O29 O 0.1722 0.3144 0.9288 1
O30 O 0.1753 0.3435 0.2505 1
O31 O 0.1784 0.6785 0.8627 1
O32 O 0.1787 0.6517 0.9733 1
O33 O 0.1795 0.9833 0.3089 1
O34 O 0.1799 0.0134 0.1970 1
O35 O 0.1888 0.3360 0.5329 1
O36 O 0.2083 0.3092 0.6346 1
O37 O 0.2791 0.8104 0.1346 1
O38 O 0.2974 0.8363 0.0326 1
O39 O 0.2993 0.4858 0.8041 1
O40 O 0.2985 0.5075 0.7004 1
O41 O 0.3004 0.8399 0.7455 1
O42 O 0.3031 0.1418 0.7564 1
O43 O 0.3039 0.1736 0.3618 1
O44 O 0.3038 0.8143 0.4256 1
O45 O 0.3091 0.1669 0.0765 1
O46 O 0.3093 0.4846 0.0889 1
O47 O 0.3113 0.1484 0.4731 1
O48 O 0.3169 0.5007 0.4146 1
O49 O 0.3753 0.0718 0.9742 1
O50 O 0.3764 0.2443 0.8618 1
O51 O 0.3794 0.5743 0.1963 1
O52 O 0.3830 0.0829 0.2601 1
O53 O 0.3839 0.4043 0.5872 1
O54 O 0.3838 0.7398 0.6414 1
O55 O 0.3847 0.9132 0.5280 1
O56 O 0.3861 0.5748 0.9120 1
O57 O 0.3919 0.2508 0.5723 1
O58 O 0.3927 0.7443 0.9293 1
O59 O 0.3968 0.4096 0.3083 1
O60 O 0.4025 0.9168 0.2517 1
O61 O 0.4180 0.5823 0.5938 1
O62 O 0.4201 0.7239 0.5304 1
O63 O 0.4213 0.4010 0.9105 1
O64 O 0.4211 0.5884 0.3070 1
O65 O 0.4234 0.0576 0.8612 1
O66 O 0.4233 0.0664 0.5775 1
O67 O 0.4232 0.2606 0.9739 1
O68 O 0.4227 0.9264 0.6412 1
O69 O 0.4260 0.2538 0.2575 1
O70 O 0.4263 0.3932 0.1957 1
O71 O 0.4271 0.9204 0.9291 1
O72 O 0.4288 0.7264 0.2498 1
O73 O 0.5620 0.2499 0.7555 1
O74 O 0.5659 0.3946 0.6943 1
O75 O 0.5691 0.5940 0.8080 1
O76 O 0.5686 0.7352 0.7434 1
O77 O 0.5695 0.9298 0.4270 1
O78 O 0.5770 0.2616 0.4713 1
O79 O 0.5771 0.3895 0.4132 1
O80 O 0.5780 0.0555 0.3672 1
O81 O 0.5779 0.0622 0.0757 1
O82 O 0.5786 0.5902 0.0891 1
O83 O 0.5788 0.7223 0.0342 1
O84 O 0.5847 0.9405 0.1367 1
O85 O 0.5978 0.2507 0.0763 1
O86 O 0.5995 0.7474 0.4268 1
O87 O 0.6000 0.9074 0.7444 1
O88 O 0.6019 0.4110 0.8053 1
O89 O 0.6028 0.4065 0.0888 1
O90 O 0.6066 0.5737 0.4129 1
O91 O 0.6075 0.0806 0.7567 1
O92 O 0.6078 0.9189 0.0341 1
O93 O 0.6086 0.0702 0.4698 1
O94 O 0.6184 0.2508 0.3685 1
O95 O 0.6188 0.5781 0.6973 1
O96 O 0.6251 0.7253 0.1371 1
O97 O 0.6664 0.1392 0.2617 1
O98 O 0.6736 0.5064 0.9152 1
O99 O 0.6795 0.8370 0.2497 1
O100 O 0.6820 0.1437 0.9745 1
O101 O 0.6818 0.4811 0.5879 1
O102 O 0.6847 0.1683 0.5731 1
O103 O 0.6870 0.5072 0.2006 1
O104 O 0.6873 0.8137 0.9279 1
O105 O 0.6885 0.4836 0.3041 1
O106 O 0.6918 0.1748 0.8597 1
O107 O 0.6932 0.8142 0.6367 1
O108 O 0.6932 0.8415 0.5337 1
O109 O 0.7804 0.3145 0.1362 1
O110 O 0.7960 0.3379 0.0337 1
O111 O 0.8029 0.0057 0.4155 1
O112 O 0.8056 0.3128 0.4291 1
O113 O 0.8059 0.6736 0.3608 1
O114 O 0.8102 0.6686 0.0749 1
O115 O 0.8107 0.9829 0.0865 1
O116 O 0.8146 0.6526 0.4741 1
O117 O 0.8158 0.3370 0.7498 1
O118 O 0.8172 0.9811 0.8060 1
O119 O 0.8184 0.0063 0.6969 1
O120 O 0.8266 0.6461 0.7595 1
O121 O 0.8670 0.2254 0.6371 1
O122 O 0.8718 0.5755 0.2571 1
O123 O 0.8726 0.0775 0.1966 1
O124 O 0.8749 0.7516 0.8675 1
O125 O 0.8824 0.4180 0.5345 1
O126 O 0.8823 0.4226 0.2471 1
O127 O 0.8816 0.9043 0.5929 1
O128 O 0.8827 0.7516 0.5783 1
O129 O 0.8857 0.5759 0.9733 1
O130 O 0.8898 0.9068 0.3094 1
O131 O 0.8915 0.0741 0.9118 1
O132 O 0.8913 0.2420 0.9278 1
O133 O 0.9102 0.4410 0.6371 1
O134 O 0.9108 0.5610 0.5755 1
O135 O 0.9158 0.2232 0.5345 1
O136 O 0.9160 0.7638 0.9705 1
O137 O 0.9170 0.0917 0.5889 1
O138 O 0.9191 0.8889 0.9123 1
O139 O 0.9224 0.0910 0.3082 1
O140 O 0.9231 0.5588 0.8611 1
O141 O 0.9283 0.4213 0.9283 1
O142 O 0.9281 0.7488 0.2580 1
O143 O 0.9290 0.2299 0.2516 1
O144 O 0.9295 0.8920 0.1967 1
```

Output
- Formation energy from the elements: -2.918 eV per atom

=====

The lowest formation energy from the elements belongs to which entry? Na6CaHf7Si6S6O48

=====

Among the records above, which one has the highest formation energy from the elements? Na6Ca2Hf2Si3S3O24

=====

What is the formation energy from the elements in the second record? -2.918 eV per atom

=====

Number 1 is which compound? Na6Ca2Hf2Si3S3O24